Entry 1:
Density functional theory data (GGA+U) for a geometry-optimized Li4TiCu2Ni3P6O24 structure.

a = 8.352 Å, b = 8.540 Å, c = 8.754 Å
α = 61.23°, β = 61.96°, γ = 62.08°
Sites, in units of the cell vectors:
Li 0.255 0.641 0.846
Li 0.718 0.357 0.157
Li 0.351 0.147 0.703
Li 0.145 0.705 0.357
Ti 0.149 0.146 0.153
Cu 0.987 0.993 0.009
Cu 0.508 0.496 0.499
Ni 0.857 0.858 0.853
Ni 0.640 0.644 0.645
Ni 0.358 0.352 0.348
P 0.253 0.950 0.549
P 0.945 0.549 0.257
P 0.563 0.248 0.961
P 0.752 0.044 0.463
P 0.442 0.754 0.031
P 0.054 0.463 0.754
O 0.884 0.506 0.705
O 0.697 0.887 0.486
O 0.937 0.735 0.092
O 0.439 0.706 0.886
O 0.004 0.383 0.188
O 0.752 0.549 0.412
O 0.758 0.093 0.928
O 0.540 0.413 0.782
O 0.826 0.009 0.607
O 0.406 0.752 0.558
O 0.902 0.089 0.260
O 0.599 0.831 0.967
O 0.391 0.174 0.029
O 0.102 0.923 0.740
O 0.586 0.241 0.447
O 0.186 0.003 0.384
O 0.441 0.591 0.220
O 0.233 0.908 0.084
O 0.247 0.449 0.584
O 0.040 0.604 0.822
O 0.543 0.305 0.111
O 0.090 0.257 0.904
O 0.320 0.104 0.516
O 0.099 0.516 0.326

Results
formation energy from the elements: -2.3270 eV per atom
total energy: -6.5317 eV/atom
space-group type: P1, No. 1

---

Entry 2:
Density functional theory data (GGA+U) for a geometry-optimized Li4Cu3Ni3W2O16 structure.

a = 5.937 Å, b = 5.937 Å, c = 9.862 Å
α = 86.68°, β = 86.68°, γ = 58.24°
Sites, in units of the cell vectors:
Li 0.663 0.663 0.908
Li 0.999 0.999 0.987
Li 0.007 0.007 0.488
Li 0.344 0.344 0.414
Cu 0.838 0.337 0.211
Cu 0.337 0.838 0.211
Cu 0.168 0.168 0.713
Ni 0.830 0.830 0.215
Ni 0.663 0.170 0.712
Ni 0.170 0.663 0.712
W 0.687 0.687 0.489
W 0.339 0.339 0.979
O 0.823 0.340 0.584
O 0.531 0.531 0.333
O 0.663 0.663 0.118
O 0.002 0.002 0.298
O 0.004 0.004 0.799
O 0.340 0.823 0.584
O 0.981 0.529 0.365
O 0.529 0.981 0.365
O 0.153 0.153 0.093
O 0.828 0.828 0.599
O 0.469 0.034 0.851
O 0.034 0.469 0.851
O 0.330 0.330 0.618
O 0.642 0.143 0.079
O 0.484 0.484 0.852
O 0.143 0.642 0.079

Results
formation energy from the elements: -1.6231 eV per atom
total energy: -5.7255 eV/atom
space-group type: Cm, No. 8

---

Entry 3:
Density functional theory data (GGA+U) for a geometry-optimized Li2V2CuP3O12 structure.

a = 8.658 Å, b = 8.696 Å, c = 8.696 Å
α = 60.99°, β = 61.34°, γ = 61.34°
Sites, in units of the cell vectors:
Li 0.750 0.150 0.350
Li 0.250 0.845 0.655
Li 0.656 0.248 0.847
Li 0.844 0.653 0.252
V 0.144 0.143 0.140
V 0.356 0.360 0.357
V 0.647 0.643 0.649
V 0.853 0.851 0.857
Cu 0.030 0.999 0.980
Cu 0.470 0.520 0.501
P 0.048 0.749 0.454
P 0.452 0.046 0.751
P 0.750 0.453 0.047
P 0.250 0.540 0.960
P 0.545 0.962 0.253
P 0.955 0.247 0.538
O 0.124 0.290 0.496
O 0.309 0.506 0.116
O 0.049 0.920 0.273
O 0.532 0.118 0.301
O 0.019 0.800 0.616
O 0.237 0.590 0.430
O 0.263 0.070 0.910
O 0.451 0.227 0.580
O 0.191 0.384 0.994
O 0.594 0.430 0.239
O 0.089 0.733 0.936
O 0.376 0.004 0.210
O 0.611 0.010 0.811
O 0.906 0.261 0.070
O 0.411 0.564 0.767
O 0.807 0.612 0.015
O 0.567 0.769 0.416
O 0.734 0.929 0.092
O 0.766 0.408 0.571
O 0.968 0.199 0.382
O 0.481 0.884 0.700
O 0.933 0.084 0.731
O 0.693 0.485 0.888
O 0.889 0.689 0.490

Results
formation energy from the elements: -2.4841 eV per atom
total energy: -6.9869 eV/atom
space-group type: C2, No. 5

---

Entry 4:
Density functional theory data (GGA+U) for a geometry-optimized Li5V3CuP4O16 structure.

a = 7.817 Å, b = 7.817 Å, c = 10.618 Å
α = 89.84°, β = 89.84°, γ = 102.73°
Sites, in units of the cell vectors:
Li 0.040 0.301 0.862
Li 0.260 0.529 0.507
Li 0.529 0.260 0.507
Li 0.755 0.506 0.995
Li 0.506 0.755 0.995
Li 0.301 0.040 0.862
Li 0.166 0.166 0.076
Li 0.725 0.977 0.461
Li 0.977 0.725 0.461
Li 0.881 0.881 0.674
V 0.368 0.368 0.228
V 0.862 0.355 0.267
V 0.355 0.862 0.267
V 0.851 0.851 0.212
V 0.143 0.645 0.777
V 0.645 0.143 0.777
Cu 0.199 0.199 0.646
Cu 0.619 0.619 0.717
P 0.083 0.566 0.089
P 0.428 0.428 0.917
P 0.574 0.574 0.404
P 0.064 0.064 0.395
P 0.431 0.920 0.592
P 0.920 0.431 0.592
P 0.566 0.083 0.089
P 0.919 0.919 0.915
O 0.268 0.268 0.916
O 0.082 0.392 0.671
O 0.113 0.393 0.157
O 0.026 0.518 0.950
O 0.487 0.487 0.053
O 0.384 0.590 0.849
O 0.079 0.880 0.839
O 0.590 0.384 0.849
O 0.240 0.719 0.100
O 0.612 0.406 0.337
O 0.406 0.612 0.337
O 0.099 0.896 0.326
O 0.279 0.760 0.604
O 0.760 0.279 0.604
O 0.519 0.519 0.540
O 0.003 0.003 0.530
O 0.982 0.469 0.453
O 0.469 0.982 0.453
O 0.221 0.221 0.390
O 0.732 0.732 0.392
O 0.762 0.762 0.914
O 0.611 0.899 0.650
O 0.392 0.082 0.671
O 0.899 0.611 0.650
O 0.600 0.913 0.157
O 0.393 0.113 0.157
O 0.913 0.600 0.157
O 0.518 0.026 0.950
O 0.978 0.978 0.050
O 0.880 0.079 0.839
O 0.719 0.240 0.100
O 0.896 0.099 0.326

Results
formation energy from the elements: -2.4938 eV per atom
total energy: -6.8256 eV/atom
space-group type: Cm, No. 8

---

Entry 5:
Density functional theory data (GGA+U) for a geometry-optimized Li4V3Cu3Sb2O16 structure.

a = 6.058 Å, b = 5.928 Å, c = 9.816 Å
α = 90.39°, β = 87.00°, γ = 120.29°
Sites, in units of the cell vectors:
Li 0.330 0.659 0.911
Li 0.989 0.995 0.992
Li 0.002 0.998 0.480
Li 0.694 0.353 0.401
V 0.651 0.828 0.222
V 0.824 0.651 0.720
V 0.816 0.155 0.711
Cu 0.171 0.829 0.208
Cu 0.172 0.340 0.209
Cu 0.337 0.166 0.709
Sb 0.332 0.673 0.485
Sb 0.654 0.325 0.993
O 0.158 0.838 0.591
O 0.059 0.535 0.347
O 0.359 0.680 0.115
O 0.989 0.993 0.291
O 0.987 0.984 0.799
O 0.131 0.332 0.595
O 0.532 0.986 0.360
O 0.520 0.545 0.361
O 0.308 0.147 0.085
O 0.658 0.829 0.608
O 0.522 0.478 0.845
O 0.549 0.031 0.844
O 0.685 0.353 0.610
O 0.802 0.656 0.089
O 0.958 0.485 0.839
O 0.809 0.154 0.089

Results
formation energy from the elements: -1.9716 eV per atom
total energy: -6.2044 eV/atom
space-group type: P1, No. 1

---

Entry 6:
Density functional theory data (GGA+U) for a geometry-optimized Li4V3Cu3Te2O16 structure.

a = 5.922 Å, b = 5.986 Å, c = 9.895 Å
α = 92.46°, β = 89.99°, γ = 119.52°
Sites, in units of the cell vectors:
Li 0.336 0.668 0.915
Li 0.004 0.009 0.987
Li 0.998 0.999 0.478
Li 0.655 0.307 0.408
V 0.176 0.352 0.223
V 0.831 0.183 0.719
V 0.349 0.181 0.714
Cu 0.659 0.832 0.208
Cu 0.174 0.832 0.208
Cu 0.833 0.667 0.707
Te 0.332 0.666 0.487
Te 0.674 0.348 0.988
O 0.664 0.840 0.587
O 0.469 0.938 0.353
O 0.319 0.636 0.117
O 0.008 0.017 0.286
O 0.998 0.018 0.795
O 0.174 0.844 0.585
O 0.453 0.476 0.364
O 0.023 0.479 0.363
O 0.841 0.682 0.083
O 0.170 0.349 0.601
O 0.966 0.469 0.853
O 0.505 0.468 0.852
O 0.673 0.313 0.609
O 0.838 0.193 0.088
O 0.529 0.041 0.845
O 0.353 0.190 0.087

Results
formation energy from the elements: -1.8782 eV per atom
total energy: -6.0405 eV/atom
space-group type: P1, No. 1

---

Entry 7:
Density functional theory data (GGA+U) for a geometry-optimized Li4Ti2V3Cu3O16 structure.

a = 5.998 Å, b = 5.823 Å, c = 9.686 Å
α = 90.06°, β = 86.64°, γ = 119.04°
Sites, in units of the cell vectors:
Li 0.323 0.652 0.910
Li 0.992 0.997 0.997
Li 0.006 0.005 0.485
Li 0.698 0.352 0.402
Ti 0.293 0.645 0.486
Ti 0.664 0.334 0.005
V 0.817 0.657 0.719
V 0.651 0.830 0.235
V 0.804 0.153 0.723
Cu 0.172 0.834 0.204
Cu 0.173 0.339 0.205
Cu 0.333 0.171 0.704
O 0.143 0.814 0.591
O 0.063 0.532 0.346
O 0.364 0.682 0.116
O 0.986 0.993 0.293
O 0.994 0.008 0.804
O 0.152 0.334 0.588
O 0.529 0.983 0.352
O 0.528 0.551 0.352
O 0.323 0.162 0.081
O 0.685 0.853 0.609
O 0.542 0.502 0.839
O 0.533 0.027 0.839
O 0.686 0.330 0.608
O 0.795 0.648 0.091
O 0.960 0.466 0.833
O 0.793 0.145 0.092

Results
formation energy from the elements: -2.2657 eV per atom
ΔE to the lowest computed polymorph: 0.0000 eV/atom
total energy: -6.7675 eV/atom
space-group type: P1, No. 1

---

Entry 8:
Density functional theory data (GGA+U) for a geometry-optimized Li4Ti3Cu3W2O16 structure.

a = 6.014 Å, b = 6.014 Å, c = 10.037 Å
α = 87.82°, β = 87.82°, γ = 59.49°
Sites, in units of the cell vectors:
Li 0.665 0.665 0.089
Li 0.992 0.992 0.024
Li 0.001 0.001 0.510
Li 0.332 0.332 0.585
Ti 0.343 0.849 0.781
Ti 0.849 0.343 0.781
Ti 0.178 0.178 0.266
Cu 0.829 0.829 0.795
Cu 0.174 0.661 0.300
Cu 0.661 0.174 0.300
W 0.666 0.666 0.510
W 0.349 0.349 0.016
O 0.356 0.840 0.415
O 0.520 0.520 0.662
O 0.653 0.653 0.889
O 0.004 0.004 0.701
O 0.004 0.004 0.215
O 0.840 0.356 0.415
O 0.495 0.962 0.651
O 0.962 0.495 0.651
O 0.168 0.168 0.890
O 0.830 0.830 0.436
O 0.032 0.456 0.134
O 0.456 0.032 0.134
O 0.321 0.321 0.383
O 0.180 0.660 0.911
O 0.479 0.479 0.134
O 0.660 0.180 0.911

Results
formation energy from the elements: -2.3499 eV per atom
total energy: -6.9512 eV/atom
space-group type: Cm, No. 8

---

Entry 9:
Density functional theory data (GGA+U) for a geometry-optimized Li2V3CuO8 structure.

a = 5.979 Å, b = 5.979 Å, c = 5.979 Å
α = 59.28°, β = 59.28°, γ = 59.28°
Sites, in units of the cell vectors:
Li 0.876 0.876 0.876
Li 0.124 0.124 0.124
V 0.500 0.500 0.000
V 0.000 0.500 0.500
V 0.500 0.000 0.500
Cu 0.500 0.500 0.500
O 0.739 0.739 0.739
O 0.749 0.287 0.749
O 0.287 0.749 0.749
O 0.749 0.749 0.287
O 0.251 0.251 0.713
O 0.713 0.251 0.251
O 0.251 0.713 0.251
O 0.261 0.261 0.261

Results
formation energy from the elements: -2.2130 eV per atom
ΔE to the lowest computed polymorph: 0.0323 eV/atom
total energy: -6.7956 eV/atom
space-group type: R-3m, No. 166

---

Entry 10:
Density functional theory data (GGA+U) for a geometry-optimized LiVCuO4 structure.

a = 6.095 Å, b = 6.095 Å, c = 7.797 Å
α = 90.00°, β = 90.00°, γ = 90.00°
Sites, in units of the cell vectors:
Li 0.500 0.737 0.000
Li 0.500 0.263 0.500
Li 0.737 0.500 0.250
Li 0.263 0.500 0.750
V 0.717 0.000 0.250
V 0.000 0.717 0.000
V 0.000 0.283 0.500
V 0.283 0.000 0.750
Cu 0.759 0.759 0.625
Cu 0.759 0.241 0.875
Cu 0.241 0.759 0.375
Cu 0.241 0.241 0.125
O 0.534 0.775 0.268
O 0.534 0.225 0.232
O 0.775 0.534 0.982
O 0.775 0.466 0.518
O 0.770 0.973 0.011
O 0.770 0.027 0.489
O 0.973 0.770 0.239
O 0.973 0.230 0.261
O 0.027 0.770 0.761
O 0.027 0.230 0.739
O 0.230 0.027 0.511
O 0.230 0.973 0.989
O 0.225 0.534 0.018
O 0.225 0.466 0.482
O 0.466 0.775 0.732
O 0.466 0.225 0.768

Results
formation energy from the elements: -1.9089 eV per atom
ΔE to the lowest computed polymorph: 0.0521 eV/atom
total energy: -6.2569 eV/atom
space-group type: P4_322, No. 95

---

- Which formula does entry 6 have?
  Li4V3Cu3Te2O16